# YMn8Fe4

Crystalline YMn8Fe4 at its relaxed geometry (PBE, the Materials Project).

Space-group type: I4/mmm (139)
E_form: 8 kJ per mole of atoms

Cell lengths 6.366, 6.366, 6.366 Å; angles 97.87, 97.87, 136.57 degrees
Positions (direct):
1 Y 0.000 0.000 0.000
2 Mn 0.000 0.358 0.358
3 Mn 0.000 0.642 0.642
4 Mn 0.268 0.500 0.768
5 Mn 0.358 0.000 0.358
6 Mn 0.500 0.268 0.768
7 Mn 0.500 0.732 0.232
8 Mn 0.642 0.000 0.642
9 Mn 0.732 0.500 0.232
10 Fe 0.000 0.000 0.500
11 Fe 0.000 0.500 0.000
12 Fe 0.500 0.000 0.000
13 Fe 0.500 0.500 0.500

# DyB2C2

Crystalline DyB2C2 at its relaxed geometry (PBE, the Materials Project).

Space-group type: P4/mbm (127)
E_form: -43 kJ per mole of atoms

Cell lengths 5.352, 5.352, 3.571 Å; angles 90.00, 90.00, 90.00 degrees
Positions (direct):
1 Dy 0.000 0.000 0.000
2 Dy 0.500 0.500 0.000
3 B 0.137 0.363 0.500
4 B 0.363 0.863 0.500
5 B 0.637 0.137 0.500
6 B 0.863 0.637 0.500
7 C 0.162 0.662 0.500
8 C 0.338 0.162 0.500
9 C 0.662 0.838 0.500
10 C 0.838 0.338 0.500

no.,VASP energy (eV for the cell shown)
1,-112.524
2,-77.307